No. 1
BaFe2F7: relaxed, PBE+U.

abc: 5.586 11.131 9.226
angles: 90.00 94.43 90.00
Fractional coordinates of all 40 atoms:
Ba 0.228 0.169 0.042
Ba 0.228 0.331 0.542
Ba 0.772 0.669 0.458
Ba 0.772 0.831 0.958
Fe 0.183 0.564 0.116
Fe 0.183 0.936 0.616
Fe 0.307 0.621 0.736
Fe 0.307 0.879 0.236
Fe 0.693 0.121 0.764
Fe 0.693 0.379 0.264
Fe 0.817 0.064 0.384
Fe 0.817 0.436 0.884
F 0.013 0.516 0.722
F 0.013 0.984 0.222
F 0.101 0.736 0.214
F 0.101 0.764 0.714
F 0.140 0.100 0.509
F 0.140 0.400 0.009
F 0.283 0.596 0.524
F 0.283 0.904 0.024
F 0.344 0.645 0.946
F 0.344 0.855 0.446
F 0.408 0.215 0.784
F 0.408 0.285 0.284
F 0.496 0.029 0.252
F 0.496 0.471 0.752
F 0.504 0.529 0.248
F 0.504 0.971 0.748
F 0.592 0.715 0.716
F 0.592 0.785 0.216
F 0.656 0.145 0.554
F 0.656 0.355 0.054
F 0.717 0.096 0.976
F 0.717 0.404 0.476
F 0.860 0.600 0.991
F 0.860 0.900 0.491
F 0.899 0.236 0.286
F 0.899 0.264 0.786
F 0.987 0.016 0.778
F 0.987 0.484 0.278

---

No. 2
BaMnFeF7: relaxed, PBE+U.

abc: 5.658 11.136 9.354
angles: 90.00 94.73 90.00
Fractional coordinates of all 40 atoms:
Ba 0.235 0.169 0.040
Ba 0.235 0.331 0.540
Ba 0.765 0.669 0.460
Ba 0.765 0.831 0.960
Mn 0.184 0.564 0.119
Mn 0.184 0.936 0.619
Mn 0.816 0.064 0.381
Mn 0.816 0.436 0.881
Fe 0.309 0.620 0.735
Fe 0.309 0.880 0.235
Fe 0.691 0.120 0.765
Fe 0.691 0.380 0.265
F 0.023 0.515 0.718
F 0.023 0.985 0.218
F 0.104 0.738 0.211
F 0.104 0.762 0.711
F 0.138 0.102 0.510
F 0.138 0.398 0.010
F 0.294 0.595 0.527
F 0.294 0.905 0.027
F 0.345 0.646 0.941
F 0.345 0.854 0.441
F 0.406 0.213 0.782
F 0.406 0.287 0.282
F 0.496 0.030 0.254
F 0.496 0.470 0.754
F 0.504 0.530 0.246
F 0.504 0.970 0.746
F 0.594 0.713 0.718
F 0.594 0.787 0.218
F 0.655 0.146 0.559
F 0.655 0.354 0.059
F 0.706 0.095 0.973
F 0.706 0.405 0.473
F 0.862 0.602 0.990
F 0.862 0.898 0.490
F 0.896 0.238 0.289
F 0.896 0.262 0.789
F 0.977 0.015 0.782
F 0.977 0.485 0.282

---

No. 3
Ba7MnFe6F34: relaxed, PBE+U.

abc: 10.427 10.427 7.847
angles: 100.11 100.11 67.54
Fractional coordinates of all 48 atoms:
Ba 0.000 0.000 0.000
Ba 0.160 0.555 0.704
Ba 0.262 0.262 0.125
Ba 0.445 0.840 0.296
Ba 0.555 0.160 0.704
Ba 0.738 0.738 0.875
Ba 0.840 0.445 0.296
Mn 0.500 0.500 0.500
Fe 0.134 0.647 0.201
Fe 0.172 0.172 0.540
Fe 0.353 0.866 0.799
Fe 0.647 0.134 0.201
Fe 0.828 0.828 0.460
Fe 0.866 0.353 0.799
F 0.002 0.264 0.994
F 0.014 0.770 0.383
F 0.041 0.517 0.196
F 0.108 0.108 0.306
F 0.118 0.353 0.455
F 0.210 0.789 0.203
F 0.211 0.790 0.797
F 0.230 0.986 0.617
F 0.247 0.510 0.033
F 0.251 0.251 0.760
F 0.264 0.002 0.994
F 0.276 0.553 0.389
F 0.353 0.118 0.455
F 0.432 0.432 0.686
F 0.447 0.724 0.611
F 0.483 0.959 0.804
F 0.490 0.753 0.967
F 0.510 0.247 0.033
F 0.517 0.041 0.196
F 0.553 0.276 0.389
F 0.568 0.568 0.314
F 0.647 0.882 0.545
F 0.724 0.447 0.611
F 0.736 0.998 0.006
F 0.749 0.749 0.240
F 0.753 0.490 0.967
F 0.770 0.014 0.383
F 0.789 0.210 0.203
F 0.790 0.211 0.797
F 0.882 0.647 0.545
F 0.892 0.892 0.694
F 0.959 0.483 0.804
F 0.986 0.230 0.617
F 0.998 0.736 0.006

---

No. 4
BaNaFeF6: relaxed, PBE+U.

abc: 19.496 5.660 10.058
angles: 90.00 90.00 90.00
Fractional coordinates of all 72 atoms:
Ba 0.112 0.241 0.000
Ba 0.138 0.743 0.635
Ba 0.362 0.243 0.135
Ba 0.388 0.741 0.500
Ba 0.612 0.259 0.000
Ba 0.638 0.757 0.635
Ba 0.862 0.257 0.135
Ba 0.888 0.759 0.500
Na 0.065 0.744 0.274
Na 0.187 0.236 0.361
Na 0.313 0.736 0.861
Na 0.435 0.244 0.774
Na 0.565 0.756 0.274
Na 0.687 0.264 0.361
Na 0.813 0.764 0.861
Na 0.935 0.256 0.774
Fe 0.008 0.236 0.397
Fe 0.243 0.749 0.238
Fe 0.257 0.249 0.738
Fe 0.492 0.736 0.897
Fe 0.508 0.264 0.397
Fe 0.743 0.751 0.238
Fe 0.757 0.251 0.738
Fe 0.992 0.764 0.897
F 0.034 0.502 0.797
F 0.035 0.945 0.488
F 0.056 0.703 0.041
F 0.059 0.971 0.805
F 0.072 0.154 0.252
F 0.078 0.453 0.456
F 0.176 0.521 0.177
F 0.178 0.819 0.383
F 0.192 0.199 0.593
F 0.192 0.466 0.828
F 0.211 0.031 0.146
F 0.212 0.992 0.835
F 0.288 0.492 0.335
F 0.289 0.531 0.646
F 0.308 0.699 0.093
F 0.308 0.966 0.328
F 0.322 0.319 0.883
F 0.324 0.021 0.677
F 0.422 0.953 0.956
F 0.428 0.654 0.752
F 0.441 0.471 0.305
F 0.444 0.203 0.541
F 0.465 0.445 0.988
F 0.466 0.002 0.297
F 0.534 0.998 0.797
F 0.535 0.555 0.488
F 0.556 0.797 0.041
F 0.559 0.529 0.805
F 0.572 0.346 0.252
F 0.578 0.047 0.456
F 0.676 0.979 0.177
F 0.678 0.681 0.383
F 0.692 0.034 0.828
F 0.692 0.301 0.593
F 0.711 0.469 0.146
F 0.712 0.508 0.835
F 0.788 0.008 0.335
F 0.789 0.969 0.646
F 0.808 0.534 0.328
F 0.808 0.801 0.093
F 0.822 0.181 0.883
F 0.824 0.479 0.677
F 0.922 0.547 0.956
F 0.928 0.846 0.752
F 0.941 0.029 0.305
F 0.944 0.297 0.541
F 0.965 0.055 0.988
F 0.966 0.498 0.297

---

No. 5
BaFeOF5: relaxed, PBE+U.

abc: 10.450 7.415 13.539
angles: 90.00 90.00 90.00
Fractional coordinates of all 64 atoms:
Ba 0.127 0.066 0.120
Ba 0.127 0.934 0.620
Ba 0.373 0.434 0.620
Ba 0.373 0.566 0.120
Ba 0.627 0.434 0.880
Ba 0.627 0.566 0.380
Ba 0.873 0.066 0.380
Ba 0.873 0.934 0.880
Fe 0.241 0.239 0.871
Fe 0.241 0.761 0.371
Fe 0.259 0.261 0.371
Fe 0.259 0.739 0.871
Fe 0.741 0.261 0.129
Fe 0.741 0.739 0.629
Fe 0.759 0.239 0.629
Fe 0.759 0.761 0.129
O 0.092 0.461 0.107
O 0.092 0.539 0.607
O 0.408 0.039 0.607
O 0.408 0.961 0.107
O 0.592 0.039 0.893
O 0.592 0.961 0.393
O 0.908 0.461 0.393
O 0.908 0.539 0.893
F 0.080 0.148 0.926
F 0.080 0.852 0.426
F 0.099 0.173 0.315
F 0.099 0.827 0.815
F 0.180 0.494 0.872
F 0.180 0.506 0.372
F 0.189 0.209 0.732
F 0.189 0.791 0.232
F 0.206 0.222 0.509
F 0.206 0.778 0.009
F 0.294 0.278 0.009
F 0.294 0.722 0.509
F 0.311 0.291 0.232
F 0.311 0.709 0.732
F 0.320 0.006 0.372
F 0.320 0.994 0.872
F 0.401 0.327 0.815
F 0.401 0.673 0.315
F 0.420 0.352 0.426
F 0.420 0.648 0.926
F 0.580 0.352 0.074
F 0.580 0.648 0.574
F 0.599 0.327 0.685
F 0.599 0.673 0.185
F 0.680 0.006 0.128
F 0.680 0.994 0.628
F 0.689 0.291 0.268
F 0.689 0.709 0.768
F 0.706 0.278 0.491
F 0.706 0.722 0.991
F 0.794 0.222 0.991
F 0.794 0.778 0.491
F 0.811 0.209 0.768
F 0.811 0.791 0.268
F 0.820 0.494 0.628
F 0.820 0.506 0.128
F 0.901 0.173 0.185
F 0.901 0.827 0.685
F 0.920 0.148 0.574
F 0.920 0.852 0.074

---

No. 6
Ba3Fe2P4O12F10: relaxed, PBE+U.

abc: 7.450 7.450 30.631
angles: 92.02 92.02 38.47
Fractional coordinates of all 62 atoms:
Ba 0.019 0.207 0.108
Ba 0.083 0.917 0.750
Ba 0.207 0.019 0.608
Ba 0.793 0.981 0.392
Ba 0.917 0.083 0.250
Ba 0.981 0.793 0.892
Fe 0.045 0.630 0.623
Fe 0.370 0.955 0.877
Fe 0.630 0.045 0.123
Fe 0.955 0.370 0.377
P 0.113 0.514 0.192
P 0.193 0.585 0.053
P 0.415 0.807 0.447
P 0.486 0.887 0.308
P 0.514 0.113 0.692
P 0.585 0.193 0.553
P 0.807 0.415 0.947
P 0.887 0.486 0.808
O 0.032 0.153 0.919
O 0.065 0.810 0.324
O 0.143 0.172 0.824
O 0.153 0.032 0.419
O 0.172 0.143 0.324
O 0.190 0.935 0.176
O 0.260 0.301 0.153
O 0.295 0.470 0.226
O 0.296 0.346 0.564
O 0.301 0.260 0.653
O 0.346 0.296 0.064
O 0.470 0.295 0.726
O 0.530 0.705 0.274
O 0.654 0.704 0.936
O 0.699 0.740 0.347
O 0.704 0.654 0.436
O 0.705 0.530 0.774
O 0.740 0.699 0.847
O 0.810 0.065 0.824
O 0.828 0.857 0.676
O 0.847 0.968 0.581
O 0.857 0.828 0.176
O 0.935 0.190 0.676
O 0.968 0.847 0.081
F 0.038 0.535 0.786
F 0.061 0.663 0.005
F 0.206 0.370 0.399
F 0.322 0.602 0.629
F 0.337 0.939 0.495
F 0.370 0.206 0.899
F 0.398 0.678 0.871
F 0.413 0.568 0.043
F 0.432 0.587 0.457
F 0.465 0.962 0.714
F 0.535 0.038 0.286
F 0.568 0.413 0.543
F 0.587 0.432 0.957
F 0.602 0.322 0.129
F 0.630 0.794 0.101
F 0.663 0.061 0.505
F 0.678 0.398 0.371
F 0.794 0.630 0.601
F 0.939 0.337 0.995
F 0.962 0.465 0.214

---

No. 7
Ba2Fe2S2OF2: relaxed, PBE+U.

abc: 4.190 4.190 19.427
angles: 90.00 90.00 89.99
Fractional coordinates of all 18 atoms:
Fe 0.000 0.500 0.500
Fe 0.500 0.000 0.500
Fe 0.500 0.000 0.000
Fe 0.000 0.500 0.000
F 0.000 0.500 0.250
F 0.000 0.500 0.750
F 0.500 0.000 0.250
F 0.500 0.000 0.750
Ba 0.500 0.500 0.167
Ba 0.000 0.000 0.333
Ba 0.000 0.000 0.667
Ba 0.500 0.500 0.833
S 0.000 0.000 0.087
S 0.000 0.000 0.913
S 0.500 0.500 0.413
S 0.500 0.500 0.587
O 0.000 0.000 0.500
O 0.500 0.500 0.000

---

What are the energy values for these records? In order: -5.553 -5.801 -5.613 -5.295 -5.078 -6.178 -5.787 eV/atom.
What are the calculated formation energy values for these records? In order: -3.102 -3.221 -3.372 -3.276 -2.621 -2.775 -2.376 eV/atom.